(1)
{"formula": "MgCo6O7F5", "functional": "PBE+U", "state": "relaxed", "cell": [[-5.039, 0.570, 0.028], [-0.528, 5.020, -5.812], [0.577, -5.096, -2.970]], "species": ["Co", "Mg", "O", "O", "O", "O", "O", "Co", "O", "Co", "Co", "F", "O", "F", "Co", "Co", "F", "F", "F"], "fractional_positions": [[0.943, 0.002, 0.021], [0.485, 0.350, 0.334], [0.782, 0.118, 0.293], [0.694, 0.114, 0.811], [0.802, 0.772, 0.955], [0.682, 0.437, 0.128], [0.726, 0.769, 0.447], [0.487, 0.336, 0.838], [0.298, 0.563, 0.860], [0.584, 0.689, 0.110], [0.990, 0.322, 0.344], [0.301, 0.900, 0.210], [0.324, 0.228, 0.539], [0.187, 0.540, 0.390], [0.573, 0.010, 0.490], [0.989, 0.674, 0.683], [0.773, 0.444, 0.607], [0.211, 0.233, 0.072], [0.154, 0.898, 0.760]], "volume_a3_per_atom": 11.66, "spacegroup": "P1 (1)", "m_tot_mub_per_fu": 19.0, "formation_energy_ev_per_atom": -1.662, "crystal_system": "triclinic", "de_polymorph_ev_per_fu": 1.03}

***

(2)
{"formula": "MgCo6O7F5", "functional": "PBE+U", "state": "relaxed", "cell": [[5.068, -0.550, -0.022], [-0.543, 5.133, -0.068], [-0.050, -0.123, 8.739]], "species": ["Co", "O", "Co", "F", "O", "O", "O", "F", "F", "O", "O", "Co", "Co", "O", "Mg", "Co", "F", "F", "Co"], "fractional_positions": [[0.427, 0.554, 0.839], [0.680, 0.683, 0.997], [0.417, 0.560, 0.495], [0.820, 0.148, 0.494], [0.673, 0.695, 0.323], [0.236, 0.829, 0.490], [0.280, 0.301, 0.004], [0.222, 0.827, 0.162], [0.838, 0.133, 0.826], [0.194, 0.816, 0.828], [0.313, 0.301, 0.324], [0.491, 0.494, 0.159], [0.017, 0.981, 0.988], [0.300, 0.329, 0.666], [0.529, 0.029, 0.336], [0.012, 0.970, 0.331], [0.705, 0.700, 0.655], [0.790, 0.159, 0.173], [0.058, 0.993, 0.667]], "volume_a3_per_atom": 11.82, "spacegroup": "P1 (1)", "m_tot_mub_per_fu": 21.0, "formation_energy_ev_per_atom": -1.653, "crystal_system": "triclinic", "de_polymorph_ev_per_fu": 1.21}

***

(3)
{"formula": "MgCo6O2F10", "functional": "PBE+U", "state": "relaxed", "cell": [[-2.134, -3.974, -2.172], [2.532, 1.089, -4.089], [7.032, -5.123, 3.217]], "species": ["Co", "F", "O", "F", "Co", "Co", "Co", "Mg", "Co", "F", "F", "O", "F", "F", "F", "F", "F", "Co", "F"], "fractional_positions": [[0.043, 0.035, 0.345], [0.217, 0.837, 0.156], [0.275, 0.361, 0.313], [0.779, 0.673, 0.320], [0.501, 0.503, 0.163], [0.959, 0.966, 0.980], [0.000, 0.998, 0.662], [0.002, 0.501, 0.162], [0.512, 0.512, 0.836], [0.289, 0.321, 0.667], [0.768, 0.167, 0.822], [0.728, 0.640, 0.012], [0.792, 0.182, 0.495], [0.709, 0.676, 0.658], [0.786, 0.165, 0.168], [0.232, 0.831, 0.503], [0.208, 0.817, 0.830], [0.488, 0.486, 0.489], [0.225, 0.329, 0.004]], "volume_a3_per_atom": 12.04, "spacegroup": "P1 (1)", "m_tot_mub_per_fu": 16.0, "formation_energy_ev_per_atom": -2.128, "crystal_system": "triclinic", "de_polymorph_ev_per_fu": 0.90}

***

DFT total energy per entry: -103.10 -102.91 -97.91 eV for the cell shown